DFT (PBE) results for a relaxed structure of Lu11Te4.

DFT formation energy in eV/atom: -0.733
M_tot in μB/cell: 0.9

abc: 15.4428 15.4428 21.2705
angles: 77.31 77.31 14.68
Last column: nearest neighbours and their distance in Å.
Element x y z (fractional)
1 Lu 0.7450 0.7450 0.0730  4 Te 3.08-3.15, 2 Lu 3.44
2 Lu 0.0320 0.0320 0.1653  2 Te 3.17-3.39, 6 Lu 3.36-3.41
3 Lu 0.9680 0.9680 0.8347  2 Te 3.17-3.39, 6 Lu 3.36-3.41
4 Lu 0.1721 0.1721 0.4349  4 Te 3.08-3.11
5 Lu 0.5742 0.5742 0.0379  1 Te 3.15, 8 Lu 3.24-3.50
6 Lu 0.7143 0.7143 0.5439  1 Te 3.21, 8 Lu 3.22-3.50
7 Lu 0.3938 0.3938 0.7790  3 Te 3.06-3.12, 4 Lu 3.35-3.41
8 Lu 0.7574 0.7574 0.3457  2 Te 3.14, 6 Lu 3.32-3.48
9 Lu 0.5614 0.5614 0.4137  4 Te 3.10-3.16, 2 Lu 3.41
10 Lu 0.5360 0.5360 0.6921  4 Te 3.11-3.14
11 Lu 0.4258 0.4258 0.9621  1 Te 3.15, 8 Lu 3.24-3.50
12 Lu 0.8731 0.8731 0.0922  4 Te 3.09-3.45, 2 Lu 3.37
13 Lu 0.1307 0.1307 0.6309  3 Te 3.10-3.11, 4 Lu 3.39-3.43
14 Lu 0.6062 0.6062 0.2210  3 Te 3.06-3.12, 4 Lu 3.35-3.41
15 Lu 0.1269 0.1269 0.9078  4 Te 3.09-3.45, 2 Lu 3.37
16 Lu 0.8279 0.8279 0.5651  4 Te 3.08-3.11
17 Lu 0.4386 0.4386 0.5863  4 Te 3.10-3.16, 2 Lu 3.41
18 Lu 0.2550 0.2550 0.9270  4 Te 3.08-3.15, 2 Lu 3.44
19 Lu 0.9681 0.9681 0.4449  3 Te 3.12-3.22, 3 Lu 3.37-3.41
20 Lu 0.2039 0.2039 0.2189  4 Te 3.10-3.13, 1 Lu 3.37
21 Lu 0.2857 0.2857 0.4561  1 Te 3.21, 8 Lu 3.22-3.50
22 Lu 0.8693 0.8693 0.3691  3 Te 3.10-3.11, 4 Lu 3.39-3.43
23 Lu 0.0000 0.0000 0.0000  8 Lu 3.24
24 Lu 0.7961 0.7961 0.7811  4 Te 3.10-3.13, 1 Lu 3.37
25 Lu 0.4640 0.4640 0.3079  4 Te 3.11-3.14
26 Lu 0.6591 0.6591 0.7451  4 Te 3.08-3.09, 2 Lu 3.39
27 Lu 0.3409 0.3409 0.2549  4 Te 3.08-3.09, 2 Lu 3.39
28 Lu 0.5435 0.5435 0.8822  2 Te 3.04, 6 Lu 3.24-3.37
29 Lu 0.1509 0.1509 0.0960  2 Te 3.13, 7 Lu 3.35-3.50
30 Lu 0.8491 0.8491 0.9040  2 Te 3.13, 7 Lu 3.35-3.50
31 Lu 0.4565 0.4565 0.1178  2 Te 3.04, 6 Lu 3.24-3.37
32 Lu 0.0319 0.0319 0.5551  3 Te 3.12-3.22, 3 Lu 3.37-3.41
33 Lu 0.2426 0.2426 0.6543  2 Te 3.14, 6 Lu 3.32-3.48
34 Te 0.7840 0.7840 0.1944  7 Lu 3.08-3.14
35 Te 0.9581 0.9581 0.6892  8 Lu 3.10-3.22
36 Te 0.6126 0.6126 0.5274  8 Lu 3.08-3.21
37 Te 0.2160 0.2160 0.8056  7 Lu 3.08-3.14
38 Te 0.0800 0.0800 0.7746  8 Lu 3.04-3.39
39 Te 0.3874 0.3874 0.4726  8 Lu 3.08-3.21
40 Te 0.0419 0.0419 0.3108  8 Lu 3.10-3.22
41 Te 0.6582 0.6582 0.3283  7 Lu 3.06-3.14
42 Te 0.9200 0.9200 0.2254  8 Lu 3.04-3.39
43 Te 0.6782 0.6782 0.9800  8 Lu 3.08-3.15
44 Te 0.3218 0.3218 0.0200  8 Lu 3.08-3.15
45 Te 0.3418 0.3418 0.6717  7 Lu 3.06-3.14